Material: Ba24In19N11
Method: DFT, PBE-GGA
State: relaxed

Geometry as CIF:
```
data_Ba24In19N11
_space_group_name_H-M_alt 'P 1'
_space_group_IT_number 1
_cell_length_a 10.828
_cell_length_b 10.828
_cell_length_c 18.597
_cell_angle_alpha 106.53
_cell_angle_beta 106.53
_cell_angle_gamma 59.00
loop_
_space_group_symop_operation_xyz
'x,y,z'
loop_
_atom_site_label
_atom_site_fract_x
_atom_site_fract_y
_atom_site_fract_z
_atom_site_occupancy
Ba1 0.000 0.000 0.000 1
Ba2 0.054 0.054 0.447 1
Ba3 0.055 0.696 0.449 1
Ba4 0.176 0.176 0.818 1
Ba5 0.176 0.559 0.936 1
Ba6 0.179 0.824 0.820 1
Ba7 0.232 0.874 0.625 1
Ba8 0.320 0.683 0.322 1
Ba9 0.359 0.999 0.999 1
Ba10 0.363 0.754 0.132 1
Ba11 0.370 0.370 0.131 1
Ba12 0.501 0.857 0.501 1
Ba13 0.502 0.502 0.502 1
Ba14 0.556 0.556 0.936 1
Ba15 0.559 0.176 0.936 1
Ba16 0.680 0.680 0.322 1
Ba17 0.683 0.320 0.322 1
Ba18 0.696 0.055 0.449 1
Ba19 0.754 0.363 0.132 1
Ba20 0.824 0.179 0.820 1
Ba21 0.857 0.501 0.501 1
Ba22 0.874 0.232 0.625 1
Ba23 0.876 0.876 0.625 1
Ba24 0.999 0.359 0.999 1
In1 0.017 0.727 0.124 1
In2 0.028 0.522 0.222 1
In3 0.041 0.320 0.321 1
In4 0.177 0.177 0.170 1
In5 0.230 0.518 0.626 1
In6 0.231 0.231 0.625 1
In7 0.320 0.041 0.321 1
In8 0.328 0.328 0.325 1
In9 0.373 0.373 0.767 1
In10 0.518 0.230 0.626 1
In11 0.522 0.028 0.222 1
In12 0.529 0.825 0.824 1
In13 0.682 0.682 0.687 1
In14 0.721 0.721 0.121 1
In15 0.727 0.017 0.124 1
In16 0.773 0.773 0.968 1
In17 0.825 0.529 0.824 1
In18 0.825 0.825 0.822 1
In19 0.873 0.873 0.269 1
N1 0.028 0.028 0.725 1
N2 0.090 0.090 0.914 1
N3 0.279 0.778 0.472 1
N4 0.296 0.741 0.982 1
N5 0.299 0.299 0.980 1
N6 0.520 0.520 0.201 1
N7 0.588 0.588 0.410 1
N8 0.741 0.296 0.982 1
N9 0.777 0.777 0.472 1
N10 0.778 0.279 0.472 1
N11 0.967 0.967 0.536 1
```

Results
For the total energy, the calculation gives -207.5 eV per cell. Its total magnetic moment is 0.6 μB per cell. The calculation puts the formation energy from the elements at -21.47 eV per formula unit.